[1]
36
Lattice="9.9263 -4.5678 0.0000 9.9263 4.5678 0.0000 -9.6579 0.0000 10.2237" Properties=species:S:1:pos:R:3 comment="HgHC3NCl3 PBE-GGA relaxed" formation_energy_ev_per_fu=3.3 crystal_system=monoclinic rho_g_cm3=2.56 dft_energy_ev_per_cell=-160.3 space_group=C2/c magnetic_moment_mub_per_atom=0.11 pbc="T T T"
Hg 0.1342 2.2839 5.1119
Hg 2.6829 2.9086 7.6678
Hg 4.9632 -2.2839 0.0000
Hg 7.5119 -2.9086 2.5559
H 5.6375 3.2413 1.9317
H 9.3863 3.2413 3.1802
H 0.8085 -3.2413 7.0436
H 4.5573 -3.2413 8.2920
C 3.9157 2.9028 3.1796
C 3.8172 1.5037 3.3567
C 5.2167 1.7207 3.4262
C 11.1080 2.9028 1.9323
C 9.8070 1.7207 1.6857
C 11.2065 1.5037 1.7552
C -1.0117 -1.5037 8.4686
C 0.3878 -1.7207 8.5380
C -0.9132 -2.9028 8.2914
C 4.9781 -1.7207 6.7976
C 6.3775 -1.5037 6.8670
C 6.2791 -2.9028 7.0442
N 5.2949 3.0303 2.8726
N 9.7288 3.0303 2.2393
N 0.4660 -3.0303 7.9844
N 4.8999 -3.0303 7.3512
Cl -1.5162 0.3673 4.7063
Cl -6.3452 -0.3673 9.8182
Cl 0.4351 1.8303 7.7491
Cl 2.7546 0.4930 4.2003
Cl -2.0744 -0.4930 9.3122
Cl 4.9307 1.8303 7.5865
Cl 5.2641 -1.8303 2.6373
Cl 12.2692 0.4930 0.9116
Cl 7.4402 -0.4930 6.0234
Cl 9.7596 -1.8303 2.4746
Cl 16.5400 0.3673 0.4055
Cl 11.7110 -0.3673 5.5174

***

[2]
58
Lattice="4.4146 -4.7006 0.0000 4.4146 4.7006 0.0000 -1.3618 0.0000 16.4136" Properties=species:S:1:pos:R:3 comment="HgH16C6N4Cl2 PBE-GGA relaxed" formation_energy_ev_per_fu=-7.1 crystal_system=monoclinic rho_g_cm3=2.03 dft_energy_ev_per_cell=-305.8 space_group=C2/c magnetic_moment_mub_per_atom=0.00 pbc="T T T"
Hg 3.3932 2.9062 12.3102
Hg 4.0741 -2.9062 4.1034
H 3.4108 3.2385 2.1707
H 3.1504 3.1659 5.5333
H 3.5047 3.1689 7.2141
H 2.1433 1.1943 1.3759
H 4.6435 3.1689 0.9927
H 1.9006 1.1482 16.4008
H 4.7375 3.2385 6.0361
H 4.9979 3.1659 2.6735
H 2.9260 0.9505 6.6068
H 2.4121 0.2642 9.2650
H 1.4624 -1.1943 9.5827
H 4.0943 0.9976 2.9542
H 3.0930 -0.2642 1.0582
H 4.0540 0.9976 5.2526
H 2.5815 -1.1482 8.1940
H 2.2451 -0.9505 14.8136
H 5.2223 0.9505 1.5999
H 4.8859 1.1482 8.2196
H 3.4134 -0.9976 11.1609
H 4.3744 0.2642 15.3553
H 3.3731 -0.9976 13.4594
H 6.0049 1.1943 6.8309
H 5.0553 -0.2642 7.1485
H 4.5414 -0.9505 9.8067
H 2.4695 -3.1659 13.7401
H 2.7299 -3.2385 10.3775
H 5.5668 -1.1482 0.0128
H 2.8238 -3.1689 15.4209
H 5.3241 -1.1943 15.0377
H 3.9626 -3.1689 9.1995
H 4.3170 -3.1659 10.8803
H 4.0566 -3.2385 14.2429
C 3.1614 3.1207 10.2767
C 3.6251 3.1207 14.3436
C 3.1197 0.8354 1.0287
C 4.2425 1.3300 1.9198
C 3.9057 1.3300 6.2870
C 2.4388 -0.8354 9.2355
C 5.0286 0.8354 7.1780
C 3.5616 -1.3300 10.1265
C 3.2249 -1.3300 14.4938
C 4.3477 -0.8354 15.3848
C 3.8422 -3.1207 2.0699
C 4.3060 -3.1207 6.1369
N 3.0477 3.2396 9.1193
N 3.8182 2.8277 6.2840
N 4.3301 2.8277 1.9228
N 3.7388 3.2396 15.5010
N 3.7286 -3.2396 0.9126
N 3.1373 -2.8277 14.4908
N 3.6492 -2.8277 10.1296
N 4.4197 -3.2396 7.2942
Cl 1.1582 0.9857 12.5145
Cl 1.8391 -0.9857 4.3077
Cl 5.6283 0.9857 12.1059
Cl 6.3092 -0.9857 3.8991

***

[3]
60
Lattice="6.7386 0.0000 0.0000 0.0000 13.7914 0.0000 -0.7467 0.0000 16.4109" Properties=species:S:1:pos:R:3 comment="HgH2C6N2Cl4 PBE-GGA relaxed" e_above_lowest_polymorph_ev_per_atom=0.000 formation_energy_ev_per_fu=8.9 crystal_system=monoclinic rho_g_cm3=1.94 dft_energy_ev_per_cell=-300.6 space_group=P2_1/c magnetic_moment_mub_per_atom=0.00 pbc="T T T"
Hg 0.3283 3.3906 6.8047
Hg -0.0451 3.5051 15.0101
Hg 6.0370 10.2863 1.4008
Hg 5.6636 10.4008 9.6063
H 2.7366 10.1048 0.7190
H 2.3632 10.5823 8.9245
H 2.5022 1.0662 13.4594
H 2.8755 5.8295 5.2540
H 3.1163 7.9619 11.1570
H 3.4897 12.7252 2.9515
H 3.6286 3.2091 7.4864
H 3.2553 3.6866 15.6919
C 0.1493 9.8851 14.7809
C 0.5226 10.8020 6.5754
C 0.5582 10.2994 7.8829
C 0.1848 10.3877 16.0883
C 1.4121 9.4745 15.2432
C 1.7855 11.2127 7.0377
C 2.6778 8.2373 3.9905
C 2.3044 12.4498 12.1960
C 2.7609 0.8337 3.2989
C 2.3875 6.0621 11.5044
C 2.9306 6.9436 3.5225
C 2.5573 13.7436 11.7280
C 3.4346 0.0479 4.6830
C 3.0612 6.8479 12.8884
C 3.6043 7.7294 4.9065
C 3.2310 12.9578 13.1120
C 3.6874 1.3416 4.2150
C 3.3141 5.5541 12.4204
C 4.2064 2.5787 9.3732
C 4.5798 4.3170 1.1678
C 5.8070 3.4037 0.3226
C 5.4337 3.4920 8.5281
C 5.4692 2.9894 9.8355
C 5.8426 3.9063 1.6300
N 2.0030 10.2012 8.0349
N 1.6297 10.4860 16.2404
N 2.4240 7.4683 11.7643
N 2.7974 13.2189 3.5588
N 3.1945 0.5726 12.8521
N 3.5678 6.3232 4.6466
N 4.3622 3.3054 0.1705
N 3.9888 3.5903 8.3760
Cl -0.1424 2.4980 10.9544
Cl 0.2309 4.3977 2.7489
Cl 0.7736 1.0849 6.4867
Cl 0.4003 5.8108 14.6921
Cl 0.4199 1.2038 14.5432
Cl 0.7933 5.6919 6.3377
Cl 2.2536 9.7455 3.3987
Cl 1.8802 10.9417 11.6042
Cl 4.1116 2.8498 4.8068
Cl 3.7383 4.0460 13.0122
Cl 5.1986 8.0995 10.0732
Cl 5.5719 12.5876 1.8677
Cl 5.5916 7.9806 1.7188
Cl 5.2182 12.7065 9.9243
Cl 5.7609 9.3937 13.6620
Cl 6.1343 11.2934 5.4565

***

[4]
48
Lattice="10.8655 0.0000 0.0000 0.0000 7.4329 0.0000 -7.1629 0.0000 16.9960" Properties=species:S:1:pos:R:3 comment="Hg2H2C2NCl5 PBE-GGA relaxed" formation_energy_ev_per_fu=0.4 crystal_system=monoclinic rho_g_cm3=2.99 dft_energy_ev_per_cell=-160.0 space_group=P2_1/c magnetic_moment_mub_per_atom=0.00 pbc="T T T"
Hg -2.4418 0.9376 5.8470
Hg -6.0233 2.7789 14.3450
Hg 1.2044 1.0064 1.6566
Hg -2.3770 2.7100 10.1546
Hg 6.0796 4.7228 6.8414
Hg 2.4982 6.4265 15.3394
Hg 9.7259 4.6540 2.6511
Hg 6.1444 6.4953 11.1491
H -2.4925 4.6683 13.5684
H 1.0889 6.4810 5.0704
H 2.7970 5.0248 5.7560
H -0.7844 6.1245 14.2540
H 4.4870 1.3083 2.7420
H 0.9056 2.4081 11.2400
H 2.6137 0.9519 11.9256
H 6.1951 2.7645 3.4276
C -0.6613 5.3179 7.2921
C -4.2427 5.8314 15.7901
C -1.0183 3.9286 14.9931
C 2.5631 7.2207 6.4951
C 1.1395 0.2122 10.5009
C 4.7210 3.5043 2.0029
C 7.9453 1.6015 1.2059
C 4.3639 2.1149 9.7039
N -1.6925 4.5154 14.2204
N 1.8889 6.6339 5.7224
N 1.8137 0.7990 11.2736
N 5.3951 2.9175 2.7756
Cl -4.2044 4.1875 12.5104
Cl -0.6229 6.9618 4.0124
Cl -1.9761 5.2827 8.1811
Cl -5.5576 5.8666 16.6791
Cl -2.6847 0.1972 11.7468
Cl 0.8967 3.5192 3.2488
Cl -0.7988 1.6210 7.4313
Cl -4.3802 2.0954 15.9293
Cl 3.9039 0.1290 2.7170
Cl 0.3225 3.5875 11.2150
Cl 3.3801 3.8454 5.7810
Cl -0.2013 7.3039 14.2790
Cl 8.0828 5.3375 1.0667
Cl 4.5014 5.8118 9.5647
Cl 2.8059 3.9137 13.7472
Cl 6.3873 7.2356 5.2492
Cl 9.2602 1.5663 0.3169
Cl 5.6787 2.1502 8.8149
Cl 4.3255 0.4711 12.9836
Cl 7.9070 3.2453 4.4856

***

[5]
13
Lattice="4.1385 0.0000 0.0000 0.5740 6.8912 0.0000 0.5196 1.1240 7.0680" Properties=species:S:1:pos:R:3 comment="HgH4C2N4Cl2 PBE-GGA relaxed" formation_energy_ev_per_fu=-4.1 crystal_system=triclinic rho_g_cm3=2.93 dft_energy_ev_per_cell=-72.2 space_group=P1 magnetic_moment_mub_per_atom=0.00 pbc="T T T"
Hg 0.0000 0.0000 0.0000
H 1.2309 3.4443 4.5640
H 1.6012 5.1171 4.9750
H 3.7566 4.0960 1.5559
H 4.3105 2.8739 2.7012
C 0.5953 4.8132 3.2002
C 0.8403 7.1008 3.5339
N 0.5631 1.2133 4.0916
N 1.1771 4.4374 4.3466
N 4.2544 3.8474 2.4017
N 4.6001 6.0923 2.8050
Cl 2.6623 6.2513 6.8002
Cl 2.5839 1.7365 0.3451

***

[6]
60
Lattice="8.6542 0.0000 0.0000 0.0000 11.8709 0.0000 -8.1446 0.0000 14.5140" Properties=species:S:1:pos:R:3 comment="HgH4C4N2Cl4 PBE-GGA relaxed" formation_energy_ev_per_fu=6.6 crystal_system=monoclinic rho_g_cm3=1.88 dft_energy_ev_per_cell=-263.3 space_group=P2_1/c magnetic_moment_mub_per_atom=0.00 pbc="T T T"
Hg -2.5860 1.8448 5.8441
Hg -6.6583 4.0907 13.1011
Hg 7.1678 7.7802 1.4129
Hg 3.0955 10.0261 8.6698
H -2.7484 8.2225 7.1202
H -6.8207 9.5838 14.3772
H 0.3005 8.7387 6.0826
H -3.7718 9.0677 13.3396
H -1.0897 0.4065 8.7970
H 2.9826 5.5289 1.5401
H 1.1036 2.2456 4.9556
H -2.9687 3.6898 12.2126
H 3.4782 8.1811 2.3014
H -0.5941 9.6253 9.5584
H -2.4731 6.3420 12.9739
H 1.5992 11.4644 5.7169
H 4.2813 2.8032 1.1744
H 0.2090 3.1322 8.4314
H 7.3302 2.2871 0.1368
H 3.2579 3.6484 7.3937
C -2.3790 7.7110 4.9319
C -6.4513 10.0954 12.1889
C -1.7767 6.6268 5.8295
C -5.8490 11.1796 13.0865
C 1.3453 5.9667 3.0279
C -2.7270 11.8396 10.2849
C -2.1725 5.9869 10.7372
C 1.8998 11.8194 3.4802
C -1.3903 0.0515 11.0338
C 2.6820 5.8840 3.7768
C 3.2365 0.0313 4.2291
C -0.8358 5.9042 11.4861
C 6.3585 0.6913 1.4274
C 2.2862 5.2441 8.6844
C 6.9608 1.7755 2.3251
C 2.8885 4.1599 9.5820
N -2.4108 7.7275 6.2720
N -6.4831 10.0788 13.5289
N -1.5423 0.2317 9.7106
N 2.5300 5.7038 2.4536
N -2.0205 6.1671 12.0603
N 2.0518 11.6392 4.8034
N 6.9926 1.7921 0.9850
N 2.9203 4.1434 8.2420
Cl -4.2344 8.1715 8.9570
Cl -0.1621 9.6348 1.7000
Cl -1.2732 0.0503 6.5003
Cl -5.3456 5.8851 13.7573
Cl -3.4674 2.5711 12.6107
Cl 0.6050 3.3643 5.3537
Cl 3.0637 2.4929 1.4531
Cl -1.0086 3.4426 8.7101
Cl 1.5181 8.4283 5.8039
Cl -2.5542 9.3780 13.0609
Cl -0.0954 8.5066 9.1603
Cl 3.9769 9.2998 1.9033
Cl 5.8551 5.9858 0.7567
Cl 1.7828 11.8206 8.0137
Cl 0.6716 2.2361 12.8140
Cl 4.7439 3.6994 5.5570

***

[7]
60
Lattice="6.6090 0.0000 0.0000 0.0000 10.9784 0.0000 -3.9331 0.0000 20.5965" Properties=species:S:1:pos:R:3 comment="HgH2C6N2Cl4 PBE-GGA relaxed" e_above_lowest_polymorph_ev_per_atom=0.261 formation_energy_ev_per_fu=12.8 crystal_system=monoclinic rho_g_cm3=1.98 dft_energy_ev_per_cell=-284.9 space_group=P2_1/c magnetic_moment_mub_per_atom=0.00 pbc="T T T"
Hg -0.4911 2.5740 6.8248
Hg -2.4577 2.9152 17.1231
Hg 5.1336 8.0632 3.4734
Hg 3.1671 8.4044 13.7717
H -0.0511 7.1437 13.7154
H 1.9155 9.3239 3.4172
H 2.7144 8.0653 1.0342
H 0.7479 8.4023 11.3324
H 1.9280 2.5761 9.2641
H -0.0385 2.9131 19.5623
H 0.7605 1.6545 17.1793
H 2.7270 3.8347 6.8811
C -3.6945 8.1331 19.5480
C -1.7279 8.3345 9.2498
C -0.4224 8.2137 9.4195
C -2.3890 8.2539 19.7177
C 0.1231 0.5688 13.8474
C 2.0897 4.9204 3.5492
C 1.1319 8.0859 9.1396
C -0.8347 8.3816 19.4378
C 0.0627 0.2649 15.0886
C 2.0292 5.2243 4.7904
C 2.4434 0.5986 3.1670
C 0.4768 4.8906 13.4652
C 2.1991 6.0878 7.1313
C 0.2326 10.3798 17.4295
C 0.6467 5.7541 15.8061
C 2.6132 10.7135 5.5079
C 3.5106 2.5967 1.1587
C 1.5440 2.8925 11.4569
C 0.5862 6.0579 17.0473
C 2.5528 10.4096 6.7491
C 5.0649 2.7245 0.8787
C 3.0983 2.7647 11.1770
C 4.4039 2.6439 11.3467
C 6.3704 2.8453 1.0485
N 2.6026 8.2166 0.0202
N 0.6361 8.2510 10.3184
N 2.4804 0.2344 4.3225
N 0.5138 5.2548 14.6208
N 2.1621 5.7236 5.9757
N 0.1955 10.7440 16.2740
N 2.0398 2.7274 10.2781
N 0.0733 2.7618 20.5763
Cl -2.4871 2.2237 14.8586
Cl -0.5205 3.2654 4.5604
Cl -0.3768 1.0690 8.6595
Cl -2.3433 4.4202 18.9577
Cl -2.2036 0.8398 18.7823
Cl -0.2370 4.6494 8.4840
Cl 1.8030 8.0395 3.2605
Cl -0.1636 8.4280 13.5588
Cl 2.8395 2.5504 7.0377
Cl 0.8730 2.9388 17.3359
Cl 2.9129 6.3290 12.1125
Cl 4.8795 10.1386 1.8142
Cl 5.0192 6.5582 1.6388
Cl 3.0527 9.9094 11.9370
Cl 3.1964 7.7129 16.0361
Cl 5.1630 8.7546 5.7379